<a>
ErH3S3O12 GGA-PBE optimized geometry; crystal system = orthorhombic
1.0
9.563 0.000 0.000
0.000 16.878 0.000
0.000 0.000 12.102
Er H S O
8 24 24 96
direct
0.165 0.232 0.107
0.165 0.268 0.607
0.335 0.732 0.107
0.335 0.768 0.607
0.665 0.232 0.393
0.665 0.268 0.893
0.835 0.732 0.393
0.835 0.768 0.893
0.104 0.568 0.741
0.104 0.932 0.241
0.116 0.054 0.421
0.116 0.446 0.921
0.119 0.003 0.919
0.119 0.497 0.419
0.381 0.503 0.919
0.381 0.997 0.419
0.384 0.554 0.421
0.384 0.946 0.921
0.396 0.068 0.741
0.396 0.432 0.241
0.604 0.568 0.759
0.604 0.932 0.259
0.616 0.054 0.079
0.616 0.446 0.579
0.619 0.003 0.581
0.619 0.497 0.081
0.881 0.503 0.581
0.881 0.997 0.081
0.884 0.554 0.079
0.884 0.946 0.579
0.896 0.068 0.759
0.896 0.432 0.259
0.014 0.160 0.363
0.014 0.340 0.863
0.094 0.603 0.516
0.094 0.897 0.016
0.171 0.665 0.842
0.171 0.835 0.342
0.329 0.165 0.842
0.329 0.335 0.342
0.406 0.103 0.516
0.406 0.397 0.016
0.486 0.660 0.363
0.486 0.840 0.863
0.514 0.160 0.137
0.514 0.340 0.637
0.594 0.603 0.984
0.594 0.897 0.484
0.671 0.665 0.658
0.671 0.835 0.158
0.829 0.165 0.658
0.829 0.335 0.158
0.906 0.103 0.984
0.906 0.397 0.484
0.986 0.660 0.137
0.986 0.840 0.637
0.013 0.132 0.060
0.013 0.368 0.560
0.019 0.074 0.417
0.019 0.426 0.917
0.032 0.562 0.612
0.032 0.938 0.112
0.035 0.705 0.834
0.035 0.795 0.334
0.059 0.217 0.446
0.059 0.283 0.946
0.106 0.157 0.267
0.106 0.343 0.767
0.134 0.669 0.165
0.134 0.831 0.665
0.144 0.575 0.817
0.144 0.925 0.317
0.183 0.540 0.449
0.183 0.960 0.949
0.199 0.662 0.546
0.199 0.838 0.046
0.229 0.665 0.953
0.229 0.835 0.453
0.230 0.193 0.759
0.230 0.307 0.259
0.270 0.693 0.759
0.270 0.807 0.259
0.271 0.165 0.953
0.271 0.335 0.453
0.301 0.162 0.546
0.301 0.338 0.046
0.317 0.040 0.449
0.317 0.460 0.949
0.356 0.075 0.817
0.356 0.425 0.317
0.366 0.169 0.165
0.366 0.331 0.665
0.394 0.657 0.267
0.394 0.843 0.767
0.441 0.717 0.446
0.441 0.783 0.946
0.465 0.205 0.834
0.465 0.295 0.334
0.468 0.062 0.612
0.468 0.438 0.112
0.481 0.574 0.417
0.481 0.926 0.917
0.487 0.632 0.060
0.487 0.868 0.560
0.513 0.132 0.440
0.513 0.368 0.940
0.519 0.074 0.083
0.519 0.426 0.583
0.532 0.562 0.888
0.532 0.938 0.388
0.535 0.705 0.666
0.535 0.795 0.166
0.559 0.217 0.054
0.559 0.283 0.554
0.606 0.157 0.233
0.606 0.343 0.733
0.634 0.669 0.335
0.634 0.831 0.835
0.644 0.575 0.683
0.644 0.925 0.183
0.683 0.540 0.051
0.683 0.960 0.551
0.699 0.662 0.954
0.699 0.838 0.454
0.729 0.665 0.547
0.729 0.835 0.047
0.730 0.193 0.741
0.730 0.307 0.241
0.770 0.693 0.741
0.770 0.807 0.241
0.771 0.165 0.547
0.771 0.335 0.047
0.801 0.162 0.954
0.801 0.338 0.454
0.817 0.040 0.051
0.817 0.460 0.551
0.856 0.075 0.683
0.856 0.425 0.183
0.866 0.169 0.335
0.866 0.331 0.835
0.894 0.657 0.233
0.894 0.843 0.733
0.941 0.717 0.054
0.941 0.783 0.554
0.965 0.205 0.666
0.965 0.295 0.166
0.968 0.062 0.888
0.968 0.438 0.388
0.981 0.574 0.083
0.981 0.926 0.583
0.987 0.632 0.440
0.987 0.868 0.940

<b>
ErH3S3O12 GGA-PBE optimized geometry; crystal system = monoclinic
1.0
5.254 0.000 0.000
0.000 13.742 0.000
-4.731 0.000 12.488
Er H S O
4 12 12 48
direct
0.247 0.195 0.478
0.247 0.305 0.978
0.753 0.695 0.022
0.753 0.805 0.522
0.018 0.509 0.382
0.018 0.991 0.882
0.236 0.641 0.779
0.236 0.859 0.279
0.381 0.577 0.316
0.381 0.923 0.816
0.619 0.077 0.184
0.619 0.423 0.684
0.764 0.141 0.721
0.764 0.359 0.221
0.982 0.009 0.118
0.982 0.491 0.618
0.118 0.560 0.891
0.118 0.940 0.391
0.222 0.623 0.494
0.222 0.877 0.994
0.455 0.701 0.229
0.455 0.799 0.729
0.545 0.201 0.271
0.545 0.299 0.771
0.778 0.123 0.006
0.778 0.377 0.506
0.882 0.060 0.609
0.882 0.440 0.109
0.006 0.193 0.042
0.006 0.307 0.542
0.076 0.600 0.776
0.076 0.900 0.276
0.126 0.089 0.587
0.126 0.411 0.087
0.140 0.045 0.384
0.140 0.455 0.884
0.178 0.553 0.394
0.178 0.947 0.894
0.179 0.711 0.149
0.179 0.789 0.649
0.229 0.565 0.585
0.229 0.935 0.085
0.333 0.212 0.317
0.333 0.288 0.817
0.363 0.608 0.966
0.363 0.892 0.466
0.484 0.732 0.819
0.484 0.768 0.319
0.485 0.668 0.504
0.485 0.832 0.004
0.496 0.594 0.272
0.496 0.906 0.772
0.504 0.094 0.228
0.504 0.406 0.728
0.515 0.168 0.996
0.515 0.332 0.496
0.516 0.232 0.681
0.516 0.268 0.181
0.637 0.108 0.534
0.637 0.392 0.034
0.667 0.712 0.183
0.667 0.788 0.683
0.771 0.065 0.915
0.771 0.435 0.415
0.821 0.211 0.351
0.821 0.289 0.851
0.822 0.053 0.106
0.822 0.447 0.606
0.860 0.545 0.116
0.860 0.955 0.616
0.874 0.589 0.913
0.874 0.911 0.413
0.924 0.100 0.724
0.924 0.400 0.224
0.994 0.693 0.458
0.994 0.807 0.958

Which one sits at the top of the stability order? <a> does.

<a>
Er5Ir3 GGA-PBE optimized geometry; crystal system = tetragonal
1.0
10.796 0.000 0.000
0.000 10.796 0.000
0.000 0.000 6.334
Er Ir
20 12
direct
0.041 0.162 0.122
0.041 0.338 0.622
0.162 0.041 0.622
0.162 0.459 0.122
0.250 0.750 0.000
0.250 0.750 0.500
0.338 0.041 0.122
0.338 0.459 0.622
0.459 0.162 0.622
0.459 0.338 0.122
0.541 0.662 0.878
0.541 0.838 0.378
0.662 0.541 0.378
0.662 0.959 0.878
0.750 0.250 0.000
0.750 0.250 0.500
0.838 0.541 0.878
0.838 0.959 0.378
0.959 0.662 0.378
0.959 0.838 0.878
0.096 0.596 0.750
0.096 0.904 0.250
0.250 0.250 0.381
0.250 0.250 0.881
0.404 0.596 0.250
0.404 0.904 0.750
0.596 0.096 0.250
0.596 0.404 0.750
0.750 0.750 0.119
0.750 0.750 0.619
0.904 0.096 0.750
0.904 0.404 0.250

<b>
Er5Ir3 GGA-PBE optimized geometry; crystal system = hexagonal
1.0
8.274 0.000 0.000
-4.137 7.165 0.000
0.000 0.000 6.155
Er Ir
10 6
direct
0.000 0.262 0.250
0.000 0.738 0.750
0.262 0.000 0.250
0.262 0.262 0.750
0.333 0.667 0.000
0.333 0.667 0.500
0.667 0.333 0.000
0.667 0.333 0.500
0.738 0.000 0.750
0.738 0.738 0.250
0.000 0.389 0.750
0.000 0.611 0.250
0.389 0.000 0.750
0.389 0.389 0.250
0.611 0.000 0.250
0.611 0.611 0.750

Which one sits at the top of the stability order? <a> does.